{
  "formula": "SrGa4Au3",
  "functional": "PBE",
  "state": "relaxed",
  "lattice_angstrom": [[4.437, 0.000, 0.000], [0.000, 4.437, 0.000], [0.000, 0.000, 8.758]],
  "species": ["Sr", "Ga", "Ga", "Ga", "Ga", "Au", "Au", "Au"],
  "fractional_positions": [[0.000, 0.000, 0.000], [0.000, 0.500, 0.326], [0.000, 0.500, 0.674], [0.500, 0.000, 0.326], [0.500, 0.000, 0.674], [0.000, 0.000, 0.500], [0.500, 0.500, 0.159], [0.500, 0.500, 0.841]],
  "vol_a3_per_fu": 172,
  "dft_energy_ev_per_atom": -3.42
}